1.
This record from the Materials Project database describes CsB6H8O7 after structural relaxation. The functional is PBE.

## Properties
**Calculated density**: 2.51 g/cm3
**Total magnetic moment**: 0.003 Bohr magnetons per cell
**MP2020-corrected energy**: -6.033 eV per atom
**Energy of formation**: -1.3630 eV/atom

The structure in CIF format:
```
data_CsB6H8O7
_chemical_formula_sum 'Cs4 B24 H32 O28'
_symmetry_space_group_name_H-M 'P 1 21/c 1'
_symmetry_Int_Tables_number 14
_cell_length_a 8.606
_cell_length_b 7.387
_cell_length_c 13.312
_cell_angle_alpha 90.00
_cell_angle_beta 96.01
_cell_angle_gamma 90.00
loop_
_symmetry_equiv_pos_as_xyz
'x,y,z'
'-x,-y,-z'
'-x,y+1/2,-z+1/2'
'x,-y+1/2,z+1/2'
loop_
_atom_site_label
_atom_site_fract_x
_atom_site_fract_y
_atom_site_fract_z
_atom_site_occupancy
Cs1 0.050 0.211 0.195 1
B1 0.302 0.023 0.968 1
B2 0.381 0.557 0.591 1
B3 0.392 0.694 0.480 1
B4 0.413 0.175 0.056 1
B5 0.431 0.549 0.377 1
B6 0.441 0.178 0.925 1
H1 0.055 0.087 0.468 1
H2 0.094 0.157 0.935 1
H3 0.118 0.660 0.054 1
H4 0.318 0.708 0.708 1
H5 0.333 0.549 0.924 1
H6 0.343 0.062 0.564 1
H7 0.364 0.025 0.731 1
H8 0.449 0.137 0.311 1
O1 0.023 0.626 0.086 1
O2 0.138 0.035 0.938 1
O3 0.280 0.602 0.667 1
O4 0.298 0.641 0.972 1
O5 0.337 0.174 0.603 1
O6 0.377 0.586 0.272 1
O7 0.384 0.166 0.365 1
```

---

2.
This record from the Materials Project database describes CsB5H8O12 after structural relaxation. The functional is PBE.

## Properties
**Calculated density**: 2.13 g/cm3
**Total magnetic moment**: 0.467 Bohr magnetons per cell
**MP2020-corrected energy**: -6.773 eV per atom
**Energy of formation**: -2.1266 eV/atom

The structure in CIF format:
```
data_CsB5H8O12
_chemical_formula_sum 'Cs4 B20 H32 O48'
_symmetry_space_group_name_H-M 'C 1 2/c 1'
_symmetry_Int_Tables_number 15
_cell_length_a 8.701
_cell_length_b 11.627
_cell_length_c 11.946
_cell_angle_alpha 90.00
_cell_angle_beta 92.98
_cell_angle_gamma 90.00
loop_
_symmetry_equiv_pos_as_xyz
'x,y,z'
'-x,-y,-z'
'-x,y,-z+1/2'
'x,-y,z+1/2'
'x+1/2,y+1/2,z'
'-x+1/2,-y+1/2,-z'
'-x+1/2,y+1/2,-z+1/2'
'x+1/2,-y+1/2,z+1/2'
loop_
_atom_site_label
_atom_site_fract_x
_atom_site_fract_y
_atom_site_fract_z
_atom_site_occupancy
Cs1 0.000 0.219 0.250 1
B1 0.000 0.283 0.750 1
B2 0.060 0.213 0.558 1
B3 0.123 0.367 0.926 1
H1 0.185 0.489 0.744 1
H2 0.188 0.075 0.520 1
H3 0.201 0.097 0.751 1
H4 0.218 0.442 0.062 1
O1 0.037 0.296 0.992 1
O2 0.081 0.208 0.673 1
O3 0.114 0.359 0.811 1
O4 0.128 0.140 0.487 1
O5 0.213 0.440 0.204 1
O6 0.220 0.446 0.978 1
```

---

3.
This record from the Materials Project database describes CsB5H8O12 after structural relaxation. The functional is PBE.

## Properties
**Calculated density**: 2.16 g/cm3
**Total magnetic moment**: 0.001 Bohr magnetons per cell
**MP2020-corrected energy**: -6.774 eV per atom
**Energy of formation**: -2.1278 eV/atom

The structure in CIF format:
```
data_CsB5H8O12
_chemical_formula_sum 'Cs4 B20 H32 O48'
_symmetry_space_group_name_H-M 'P 1 21/c 1'
_symmetry_Int_Tables_number 14
_cell_length_a 11.696
_cell_length_b 7.246
_cell_length_c 14.081
_cell_angle_alpha 90.00
_cell_angle_beta 92.07
_cell_angle_gamma 90.00
loop_
_symmetry_equiv_pos_as_xyz
'x,y,z'
'-x,-y,-z'
'-x,y+1/2,-z+1/2'
'x,-y+1/2,z+1/2'
loop_
_atom_site_label
_atom_site_fract_x
_atom_site_fract_y
_atom_site_fract_z
_atom_site_occupancy
Cs1 0.247 0.235 0.085 1
B1 0.056 0.703 0.353 1
B2 0.072 0.032 0.370 1
B3 0.251 0.653 0.851 1
B4 0.434 0.637 0.765 1
B5 0.444 0.685 0.934 1
H1 0.016 0.069 0.857 1
H2 0.066 0.689 0.106 1
H3 0.240 0.033 0.818 1
H4 0.247 0.747 0.156 1
H5 0.249 0.246 0.329 1
H6 0.252 0.700 0.044 1
H7 0.425 0.125 0.811 1
H8 0.484 0.728 0.569 1
O1 0.005 0.626 0.866 1
O2 0.017 0.056 0.147 1
O3 0.020 0.199 0.386 1
O4 0.172 0.688 0.343 1
O5 0.188 0.024 0.364 1
O6 0.206 0.686 0.102 1
O7 0.285 0.143 0.802 1
O8 0.317 0.642 0.763 1
O9 0.327 0.684 0.937 1
O10 0.484 0.226 0.491 1
O11 0.489 0.622 0.681 1
O12 0.498 0.648 0.849 1
```